Entry 1:
CaLuMn2O6, optimized geometry, DFT GGA+U; distance to the lowest polymorph of the same formula = 3 meV per atom
1.0
5.306 0.000 0.000
0.000 5.561 0.000
0.000 0.000 7.497
Mn O Ca Lu
4 12 2 2
Direct
0.501 0.754 0.750
0.001 0.246 0.250
0.501 0.754 0.250
0.001 0.246 0.750
0.409 0.708 0.500
0.191 0.938 0.805
0.290 0.458 0.201
0.790 0.542 0.299
0.790 0.542 0.701
0.118 0.220 0.500
0.691 0.062 0.695
0.290 0.458 0.799
0.191 0.938 0.195
0.909 0.292 0.000
0.691 0.062 0.305
0.618 0.780 0.000
0.489 0.193 0.000
0.989 0.807 0.500
0.519 0.323 0.500
0.019 0.677 0.000

=====

Entry 2:
CaMg6MnO8, optimized geometry, DFT GGA+U; distance to the lowest polymorph of the same formula = 0 meV per atom
1.0
8.744 0.000 0.000
0.000 4.396 0.000
0.000 0.000 4.396
Mg Mn O Ca
6 1 8 1
Direct
0.500 0.500 0.500
0.259 0.500 0.000
0.741 0.000 0.500
0.259 0.000 0.500
0.741 0.500 0.000
0.500 0.000 0.000
0.000 0.500 0.500
0.500 0.500 0.000
0.500 0.000 0.500
0.259 0.500 0.500
0.735 0.000 0.000
0.265 0.000 0.000
0.000 0.000 0.500
0.000 0.500 0.000
0.741 0.500 0.500
0.000 0.000 0.000

=====

Entry 3:
CaMg6MnO8, optimized geometry, DFT GGA+U; distance to the lowest polymorph of the same formula = 17 meV per atom
1.0
8.736 0.000 0.000
0.000 4.407 0.000
0.000 0.000 4.407
Mg O Mn Ca
6 8 1 1
Direct
0.255 0.000 0.500
0.255 0.500 0.000
0.745 0.500 0.000
0.000 0.500 0.500
0.500 0.500 0.500
0.745 0.000 0.500
0.742 0.000 0.000
0.258 0.000 0.000
0.000 0.000 0.500
0.251 0.500 0.500
0.500 0.500 0.000
0.000 0.500 0.000
0.749 0.500 0.500
0.500 0.000 0.500
0.500 0.000 0.000
0.000 0.000 0.000

=====

Entry 4:
A relaxed structure of Ca7MgMn8O20. Source: Materials Project, functional GGA+U.

The structure in POSCAR format:
```
Ca7MgMn8O20
1.0
-2.409 -4.348 9.734
-10.622 3.242 -1.267
3.356 -12.359 -10.970
O Ca Mn Mg
80 28 32 4
Direct
0.883 0.879 0.508
0.922 0.564 0.751
0.596 0.598 0.133
0.426 0.083 0.750
0.451 0.401 0.366
0.157 0.887 0.036
0.128 0.113 0.988
0.386 0.881 0.513
0.671 0.939 0.249
0.870 0.614 0.479
0.953 0.904 0.367
0.424 0.564 0.750
0.671 0.439 0.249
0.331 0.288 0.633
0.408 0.580 0.235
0.342 0.261 0.131
0.123 0.617 0.481
0.676 0.417 0.751
0.199 0.724 0.875
0.075 0.093 0.633
0.836 0.782 0.630
0.124 0.119 0.487
0.443 0.404 0.869
0.384 0.379 0.509
0.371 0.116 0.485
0.378 0.621 0.979
0.138 0.379 0.515
0.673 0.934 0.751
0.928 0.579 0.249
0.884 0.380 0.510
0.679 0.210 0.363
0.138 0.878 0.515
0.173 0.938 0.752
0.151 0.393 0.032
0.958 0.896 0.875
0.600 0.103 0.135
0.625 0.115 0.983
0.707 0.723 0.874
0.169 0.437 0.248
0.831 0.287 0.634
0.350 0.758 0.131
0.638 0.380 0.516
0.679 0.712 0.363
0.152 0.920 0.237
0.134 0.615 0.988
0.395 0.898 0.027
0.087 0.618 0.135
0.622 0.617 0.483
0.622 0.118 0.486
0.881 0.107 0.986
0.910 0.881 0.030
0.846 0.776 0.133
0.388 0.398 0.022
0.579 0.595 0.629
0.951 0.402 0.871
0.654 0.895 0.025
0.380 0.121 0.981
0.952 0.399 0.368
0.449 0.899 0.873
0.627 0.621 0.985
0.633 0.379 0.013
0.192 0.218 0.872
0.371 0.614 0.481
0.442 0.905 0.365
0.334 0.780 0.631
0.831 0.267 0.131
0.878 0.613 0.985
0.702 0.211 0.868
0.175 0.419 0.751
0.079 0.597 0.629
0.408 0.076 0.236
0.578 0.093 0.632
0.870 0.117 0.483
0.196 0.716 0.366
0.184 0.204 0.363
0.890 0.382 0.019
0.103 0.104 0.136
0.909 0.084 0.235
0.637 0.878 0.514
0.923 0.083 0.751
0.555 0.292 0.606
0.691 0.935 0.390
0.308 0.563 0.607
0.701 0.937 0.895
0.205 0.438 0.897
0.806 0.062 0.606
0.950 0.205 0.895
0.054 0.793 0.609
0.949 0.205 0.388
0.804 0.564 0.107
0.693 0.435 0.390
0.053 0.292 0.606
0.553 0.294 0.108
0.955 0.703 0.896
0.807 0.564 0.608
0.451 0.704 0.890
0.949 0.709 0.391
0.446 0.707 0.387
0.452 0.208 0.893
0.194 0.936 0.388
0.194 0.433 0.389
0.306 0.063 0.606
0.700 0.434 0.895
0.555 0.791 0.607
0.206 0.938 0.897
0.052 0.292 0.110
0.555 0.793 0.109
0.446 0.204 0.387
0.257 0.748 0.500
0.107 0.604 0.248
0.859 0.407 0.248
0.764 0.754 0.004
0.615 0.592 0.752
0.345 0.900 0.238
0.755 0.747 0.498
0.013 0.995 0.004
0.754 0.249 0.498
0.356 0.402 0.750
0.097 0.090 0.242
0.857 0.914 0.246
0.011 0.503 0.004
0.506 0.498 0.497
0.112 0.594 0.752
0.860 0.400 0.752
0.254 0.249 0.498
0.760 0.245 0.002
0.262 0.250 0.006
0.354 0.407 0.244
0.596 0.595 0.245
0.508 0.503 0.003
0.503 0.997 0.497
0.360 0.909 0.751
0.004 0.997 0.497
0.006 0.499 0.498
0.107 0.100 0.752
0.863 0.907 0.753
0.509 0.001 0.003
0.609 0.097 0.750
0.264 0.751 0.006
0.596 0.095 0.244
0.781 0.078 0.114
0.033 0.793 0.115
0.285 0.573 0.111
0.284 0.073 0.114
```

=====

Number 1: energy relative to the elements -2.7947 eV per atom, uncorrected energy -7.503 eV per atom. Number 2: energy relative to the elements -2.8826 eV per atom, uncorrected energy -6.207 eV per atom. Number 3: energy relative to the elements -2.8654 eV per atom, uncorrected energy -6.190 eV per atom. Number 4: energy relative to the elements -2.5289 eV per atom, uncorrected energy -6.996 eV per atom.